Entry 1:
This record from Materials Project describes Na7Mg2Al2P5SO24 after structural relaxation. The functional is PBE-GGA. Values from VASP.

```
&SYSTEM
  ibrav = 0, nat = 123, ntyp = 6
/
ATOMIC_SPECIES
Na 22.99 Na.upf
Mg 24.30 Mg.upf
Al 26.98 Al.upf
P 30.97 P.upf
S 32.06 S.upf
O 16.00 O.upf
CELL_PARAMETERS angstrom
8.817 0.008 -0.001
-4.402 7.628 -0.002
-0.002 -0.010 21.576
ATOMIC_POSITIONS crystal
Na 0.639 0.993 0.252
Na 0.000 0.632 0.255
Na 0.635 0.642 0.748
Na 0.008 0.367 0.752
Na 0.362 0.994 0.752
Na 0.290 0.333 0.587
Na 0.046 0.712 0.583
Na 0.669 0.955 0.584
Na 0.290 0.955 0.079
Na 0.668 0.710 0.087
Na 0.045 0.332 0.084
Na 0.988 0.668 0.916
Na 0.328 0.311 0.921
Na 0.975 0.318 0.414
Na 0.689 0.672 0.419
Na 0.011 0.995 0.500
Na 0.993 0.008 0.000
Na 0.669 0.311 0.836
Na 0.651 0.325 0.334
Na 0.334 0.640 0.169
Na 0.334 0.669 0.667
Mg 0.000 0.001 0.647
Mg 0.998 0.002 0.147
Mg 0.327 0.666 0.018
Mg 0.334 0.678 0.517
Mg 0.333 0.665 0.318
Mg 0.328 0.671 0.818
Al 0.987 0.991 0.349
Al 0.006 0.009 0.847
Al 0.668 0.333 0.687
Al 0.672 0.339 0.185
Al 0.667 0.322 0.983
Al 0.670 0.330 0.483
P 0.702 0.697 0.248
P 0.998 0.293 0.249
P 0.300 0.295 0.749
P 0.994 0.705 0.749
P 0.711 0.004 0.748
P 0.954 0.336 0.584
P 0.387 0.053 0.584
P 0.665 0.614 0.583
P 0.951 0.615 0.083
P 0.664 0.047 0.086
P 0.389 0.335 0.083
P 0.023 0.356 0.917
P 0.334 0.974 0.916
P 0.637 0.973 0.416
P 0.029 0.671 0.417
S 0.292 0.008 0.250
S 0.638 0.672 0.917
S 0.331 0.359 0.417
O 0.195 0.022 0.304
O 0.825 0.793 0.305
O 0.976 0.172 0.305
O 0.207 0.175 0.806
O 0.971 0.801 0.807
O 0.838 0.031 0.802
O 0.781 0.972 0.687
O 0.189 0.218 0.691
O 0.022 0.813 0.690
O 0.787 0.807 0.190
O 0.018 0.214 0.189
O 0.195 0.985 0.192
O 0.862 0.353 0.643
O 0.492 0.139 0.645
O 0.647 0.506 0.642
O 0.864 0.507 0.142
O 0.645 0.135 0.146
O 0.502 0.353 0.140
O 0.478 0.321 0.023
O 0.838 0.524 0.025
O 0.684 0.161 0.030
O 0.484 0.167 0.528
O 0.679 0.520 0.524
O 0.847 0.321 0.525
O 0.557 0.691 0.974
O 0.144 0.437 0.974
O 0.298 0.856 0.974
O 0.559 0.853 0.472
O 0.299 0.434 0.474
O 0.134 0.695 0.476
O 0.112 0.633 0.361
O 0.529 0.889 0.357
O 0.364 0.478 0.365
O 0.107 0.476 0.860
O 0.359 0.892 0.858
O 0.528 0.646 0.862
O 0.004 0.835 0.407
O 0.828 0.998 0.408
O 0.173 0.183 0.408
O 0.006 0.172 0.907
O 0.164 0.992 0.909
O 0.818 0.828 0.911
O 0.971 0.170 0.585
O 0.202 0.032 0.585
O 0.831 0.797 0.584
O 0.972 0.801 0.085
O 0.829 0.028 0.086
O 0.204 0.169 0.085
O 0.696 0.175 0.745
O 0.484 0.308 0.745
O 0.824 0.520 0.746
O 0.691 0.514 0.245
O 0.822 0.303 0.247
O 0.470 0.167 0.249
O 0.660 0.512 0.920
O 0.841 0.342 0.926
O 0.493 0.163 0.924
O 0.663 0.161 0.424
O 0.490 0.340 0.423
O 0.837 0.506 0.423
O 0.368 0.500 0.080
O 0.134 0.632 0.079
O 0.499 0.863 0.082
O 0.369 0.869 0.581
O 0.499 0.632 0.580
O 0.138 0.500 0.581
O 0.314 0.851 0.256
O 0.522 0.681 0.256
O 0.151 0.481 0.256
O 0.327 0.481 0.758
O 0.154 0.679 0.756
O 0.526 0.845 0.757
```

Computed properties:
ΔE_f, kcal/mol of atoms: -63.374
ρ, g/cm³: 2.863
Total energy after the MP2020 corrections, eV per atom: -6.8922
DFT total energy, eV per cell: -798.27
Space group: P1, No. 1

***

Entry 2:
This record from Materials Project describes CsMg14Si after structural relaxation. The functional is PBE-GGA. Values from VASP.

```
&SYSTEM
  ibrav = 0, nat = 16, ntyp = 3
/
ATOMIC_SPECIES
Cs 132.91 Cs.upf
Mg 24.30 Mg.upf
Si 28.09 Si.upf
CELL_PARAMETERS angstrom
-6.340 0.669 -0.300
2.730 -5.435 -1.935
-0.923 -4.131 10.299
ATOMIC_POSITIONS crystal
Cs 0.167 0.333 0.625
Mg 0.158 0.829 0.125
Mg 0.172 0.836 0.625
Mg 0.671 0.342 0.125
Mg 0.664 0.328 0.625
Mg 0.671 0.829 0.125
Mg 0.664 0.836 0.625
Mg 0.332 0.168 0.349
Mg 0.332 0.168 0.901
Mg 0.332 0.664 0.349
Mg 0.332 0.664 0.901
Mg 0.836 0.168 0.349
Mg 0.836 0.168 0.901
Mg 0.833 0.667 0.385
Mg 0.833 0.667 0.865
Si 0.167 0.333 0.125
```

Computed properties:
ΔE_f, kcal/mol of atoms: 4.805
Offset from the most stable computed form, eV per atom: 0.0240
ρ, g/cm³: 2.119
Total energy after the MP2020 corrections, eV per atom: -1.5869
DFT total energy, eV per cell: -25.46
Space group: P-6m2, No. 187

***

Entry 3:
This record from Materials Project describes SmThUS5 after structural relaxation. The functional is PBE-GGA. Values from VASP.

```
&SYSTEM
  ibrav = 0, nat = 32, ntyp = 4
/
ATOMIC_SPECIES
Sm 150.36 Sm.upf
Th 232.04 Th.upf
U 238.03 U.upf
S 32.06 S.upf
CELL_PARAMETERS angstrom
-4.360 -0.184 -6.043
6.219 -2.452 -4.412
-2.818 -11.434 2.381
ATOMIC_POSITIONS crystal
Sm 0.979 0.752 0.932
Sm 0.521 0.248 0.432
Sm 0.021 0.252 0.568
Sm 0.479 0.748 0.068
Th 0.024 0.751 0.574
Th 0.476 0.249 0.074
Th 0.976 0.251 0.926
Th 0.524 0.749 0.426
U 0.429 0.498 0.756
U 0.071 0.502 0.256
U 0.571 0.998 0.744
U 0.929 0.002 0.244
S 0.665 0.289 0.652
S 0.835 0.711 0.152
S 0.335 0.789 0.848
S 0.165 0.211 0.348
S 0.336 0.208 0.852
S 0.164 0.792 0.352
S 0.664 0.708 0.648
S 0.836 0.292 0.148
S 0.302 0.503 0.535
S 0.198 0.497 0.035
S 0.698 0.003 0.965
S 0.802 0.997 0.465
S 0.671 0.494 0.937
S 0.829 0.506 0.437
S 0.329 0.994 0.563
S 0.171 0.006 0.063
S 0.040 0.501 0.750
S 0.460 0.499 0.250
S 0.960 0.001 0.750
S 0.540 0.999 0.250
```

Computed properties:
ΔE_f, kcal/mol of atoms: -48.981
ρ, g/cm³: 7.229
Total energy after the MP2020 corrections, eV per atom: -7.6373
DFT total energy, eV per cell: -234.33
Space group: P2_12_12_1, No. 19

***

Entry 4:
This record from Materials Project describes ThAl8Fe4 after structural relaxation. The functional is PBE-GGA. Values from VASP.

```
&SYSTEM
  ibrav = 0, nat = 13, ntyp = 3
/
ATOMIC_SPECIES
Th 232.04 Th.upf
Al 26.98 Al.upf
Fe 55.84 Fe.upf
CELL_PARAMETERS angstrom
-4.401 4.401 2.521
4.401 -4.401 2.521
4.401 4.401 -2.521
ATOMIC_POSITIONS crystal
Th 0.000 0.000 0.000
Al 0.276 0.500 0.776
Al 0.500 0.276 0.776
Al 0.500 0.724 0.224
Al 0.724 0.500 0.224
Al 0.346 0.000 0.346
Al 0.654 0.000 0.654
Al 0.000 0.654 0.654
Al 0.000 0.346 0.346
Fe 0.500 0.500 0.500
Fe 0.000 0.500 0.000
Fe 0.500 0.000 0.000
Fe 0.000 0.000 0.500
```

Computed properties:
ΔE_f, kcal/mol of atoms: -9.413
ρ, g/cm³: 5.709
DFT total energy, eV per cell: -76.57
Space group: I4/mmm, No. 139